No. 1
Material: Bi2Se3O9
Method: DFT, GGA-PBE
State: relaxed

a = 4.7852 Å, b = 13.7275 Å, c = 15.5713 Å
α = 62.66°, β = 90.00°, γ = 90.00°
Fractional coordinates of all 56 atoms:
O: 0.6540 0.5431 0.7825
O: 0.1540 0.4569 0.7175
O: 0.3078 0.2904 0.9103
O: 0.2475 0.8148 0.4891
O: 0.0399 0.7984 0.2054
O: 0.4362 0.6568 0.3165
O: 0.9601 0.2016 0.7946
O: 0.8078 0.7096 0.5897
O: 0.2525 0.8148 0.9891
O: 0.4601 0.7984 0.7054
O: 0.6715 0.7872 0.8919
O: 0.1715 0.2128 0.6081
O: 0.3285 0.2128 0.1081
O: 0.9362 0.3432 0.1835
O: 0.0374 0.9893 0.1997
O: 0.5476 0.4434 0.4334
O: 0.4626 0.9893 0.6997
O: 0.7525 0.1852 0.5109
O: 0.4524 0.5566 0.5666
O: 0.8460 0.5431 0.2825
O: 0.3460 0.4569 0.2175
O: 0.9431 0.9140 0.6581
O: 0.5638 0.3432 0.6835
O: 0.8285 0.7872 0.3919
O: 0.1922 0.2904 0.4103
O: 0.5569 0.9140 0.1581
O: 0.6922 0.7096 0.0897
O: 0.5374 0.0107 0.3003
O: 0.0569 0.0860 0.3419
O: 0.5399 0.2016 0.2946
O: 0.9524 0.4434 0.9334
O: 0.9626 0.0107 0.8003
O: 0.7475 0.1852 0.0109
O: 0.4431 0.0860 0.8419
O: 0.0476 0.5566 0.0666
O: 0.0638 0.6568 0.8165
Se: 0.6152 0.8261 0.9818
Se: 0.8848 0.8261 0.4818
Se: 0.7108 0.5691 0.3761
Se: 0.2892 0.4309 0.6239
Se: 0.1152 0.1739 0.5182
Se: 0.2108 0.4309 0.1239
Se: 0.3848 0.1739 0.0182
Se: 0.7892 0.5691 0.8761
Se: 0.5917 0.9294 0.6316
Se: 0.9083 0.9294 0.1316
Se: 0.4083 0.0706 0.3684
Se: 0.0917 0.0706 0.8684
Bi: 0.8646 0.1676 0.1907
Bi: 0.3675 0.6520 0.6554
Bi: 0.6325 0.3480 0.3446
Bi: 0.1354 0.8324 0.8093
Bi: 0.3646 0.8324 0.3093
Bi: 0.8675 0.3480 0.8446
Bi: 0.1325 0.6520 0.1554
Bi: 0.6354 0.1676 0.6907

Results
Total energy after the MP2020 corrections   -83.16 eV per formula unit
Space group   No. 14
Crystal system   monoclinic
Calculated formation energy   -33.5 kcal/mol of atoms

No. 2
Material: Bi2Te2SeO10
Method: DFT, GGA-PBE
State: relaxed

a = 9.0110 Å, b = 9.0110 Å, c = 8.2564 Å
α = 70.44°, β = 70.44°, γ = 51.40°
Fractional coordinates of all 30 atoms:
O: 0.2855 0.7477 0.0732
O: 0.5810 0.6037 0.6929
O: 0.0020 0.2514 0.2475
O: 0.0944 0.3142 0.4884
O: 0.6858 0.9056 0.0116
O: 0.4190 0.3963 0.3071
O: 0.0369 0.5709 0.1231
O: 0.4291 0.9631 0.3769
O: 0.9631 0.4291 0.8769
O: 0.9980 0.7486 0.7525
O: 0.3142 0.0944 0.9884
O: 0.7145 0.2523 0.9268
O: 0.9056 0.6858 0.5116
O: 0.7477 0.2855 0.5732
O: 0.7486 0.9980 0.2525
O: 0.2523 0.7145 0.4268
O: 0.3963 0.4190 0.8071
O: 0.6037 0.5810 0.1929
O: 0.2514 0.0020 0.7475
O: 0.5709 0.0369 0.6231
Se: 0.6088 0.3912 0.7500
Se: 0.3912 0.6088 0.2500
Te: 0.1888 0.0468 0.5273
Te: 0.0468 0.1888 0.0273
Te: 0.9532 0.8112 0.9727
Te: 0.8112 0.9532 0.4727
Bi: 0.8380 0.5260 0.3517
Bi: 0.5260 0.8380 0.8517
Bi: 0.4740 0.1620 0.1483
Bi: 0.1620 0.4740 0.6483

Results
Total energy after the MP2020 corrections   -89.73 eV per formula unit
Space group   No. 15
Crystal system   monoclinic
Calculated formation energy   -34.9 kcal/mol of atoms
Size of the total moment   0.00 Bohr magnetons per cell

No. 3
Material: SiBiO4
Method: DFT, GGA-PBE
State: relaxed

a = 10.6655 Å, b = 10.6655 Å, c = 10.6655 Å
α = 109.47°, β = 109.47°, γ = 109.47°
Fractional coordinates of all 72 atoms:
Bi: 0.7500 0.6250 0.8750
Bi: 0.8750 0.7500 0.6250
Bi: 0.7500 0.1250 0.3750
Bi: 0.3750 0.1250 0.2500
Bi: 0.6250 0.8750 0.7500
Bi: 0.2500 0.3750 0.1250
Bi: 0.1250 0.2500 0.3750
Bi: 0.2500 0.8750 0.6250
Bi: 0.1250 0.3750 0.7500
Bi: 0.6250 0.2500 0.8750
Bi: 0.8750 0.6250 0.2500
Bi: 0.3750 0.7500 0.1250
O: 0.4781 0.6050 0.2038
O: 0.3731 0.2744 0.4781
O: 0.2744 0.4781 0.3731
O: 0.1050 0.9781 0.7038
O: 0.7962 0.5219 0.3950
O: 0.6269 0.7256 0.5219
O: 0.9781 0.7744 0.8731
O: 0.4012 0.1050 0.6269
O: 0.7038 0.1050 0.9781
O: 0.1050 0.6269 0.4012
O: 0.7038 0.0988 0.7256
O: 0.0988 0.7256 0.7038
O: 0.3950 0.7962 0.5219
O: 0.5219 0.6269 0.7256
O: 0.2038 0.2256 0.5988
O: 0.4781 0.3731 0.2744
O: 0.2744 0.2962 0.9012
O: 0.9012 0.2744 0.2962
O: 0.7744 0.8731 0.9781
O: 0.7256 0.7038 0.0988
O: 0.8950 0.0219 0.2962
O: 0.2038 0.4781 0.6050
O: 0.1269 0.0219 0.2256
O: 0.2256 0.5988 0.2038
O: 0.8950 0.3731 0.5988
O: 0.5988 0.2038 0.2256
O: 0.8731 0.3950 0.0988
O: 0.1269 0.6050 0.9012
O: 0.2962 0.8950 0.0219
O: 0.9012 0.1269 0.6050
O: 0.2256 0.1269 0.0219
O: 0.7256 0.5219 0.6269
O: 0.0219 0.2962 0.8950
O: 0.6050 0.9012 0.1269
O: 0.4012 0.7962 0.7744
O: 0.5219 0.3950 0.7962
O: 0.7962 0.7744 0.4012
O: 0.8731 0.9781 0.7744
O: 0.3731 0.5988 0.8950
O: 0.6050 0.2038 0.4781
O: 0.0988 0.8731 0.3950
O: 0.7744 0.4012 0.7962
O: 0.9781 0.7038 0.1050
O: 0.5988 0.8950 0.3731
O: 0.2962 0.9012 0.2744
O: 0.6269 0.4012 0.1050
O: 0.0219 0.2256 0.1269
O: 0.3950 0.0988 0.8731
Si: 0.3750 0.2500 0.6250
Si: 0.2500 0.1250 0.8750
Si: 0.1250 0.8750 0.2500
Si: 0.6250 0.3750 0.2500
Si: 0.3750 0.6250 0.7500
Si: 0.2500 0.6250 0.3750
Si: 0.7500 0.3750 0.6250
Si: 0.1250 0.7500 0.8750
Si: 0.6250 0.7500 0.3750
Si: 0.8750 0.2500 0.1250
Si: 0.8750 0.1250 0.7500
Si: 0.7500 0.8750 0.1250

Results
Total energy after the MP2020 corrections   -41.70 eV per formula unit
Space group   No. 230
Crystal system   cubic
Calculated formation energy   -48.4 kcal/mol of atoms
Size of the total moment   7.66 Bohr magnetons per cell

No. 4
Material: SiBi3O7
Method: DFT, GGA-PBE
State: relaxed

a = 8.2432 Å, b = 8.2432 Å, c = 5.3518 Å
α = 90.00°, β = 90.00°, γ = 120.00°
Fractional coordinates of all 22 atoms:
O: 0.1224 0.5909 0.9499
O: 0.7557 0.8381 0.6761
O: 0.0824 0.2443 0.6761
O: 0.8776 0.4091 0.4499
O: 0.8381 0.0824 0.1761
O: 0.5909 0.4686 0.4499
O: 0.1619 0.9176 0.6761
O: 0.5314 0.1224 0.4499
O: 0.6667 0.3333 0.0154
O: 0.3333 0.6667 0.5154
O: 0.4091 0.5314 0.9499
O: 0.9176 0.7557 0.1761
O: 0.4686 0.8776 0.9499
O: 0.2443 0.1619 0.1761
Bi: 0.2465 0.9036 0.2940
Bi: 0.9036 0.6572 0.7940
Bi: 0.6572 0.7535 0.2940
Bi: 0.7535 0.0964 0.7940
Bi: 0.3428 0.2465 0.7940
Bi: 0.0964 0.3428 0.2940
Si: 0.6667 0.3333 0.3242
Si: 0.3333 0.6667 0.8242

Results
Total energy after the MP2020 corrections   -73.58 eV per formula unit
Space group   No. 173
Crystal system   hexagonal
Calculated formation energy   -45.8 kcal/mol of atoms
Size of the total moment   2.00 Bohr magnetons per cell